[1]
The following is a PBE calculation of an optimized crystal structure of Mg5Ge, from the Materials Project.

- offset from the most stable computed form (meV per atom) = 147

Cell lengths 5.794, 5.794, 5.794 Å; angles 60.00, 60.00, 60.00 degrees
Fractional coordinates of all 6 atoms:
Mg1 0.625 0.625 0.125
Mg2 0.625 0.125 0.625
Mg3 0.125 0.625 0.625
Mg4 0.250 0.250 0.250
Mg5 0.625 0.625 0.625
Ge1 0.000 0.000 0.000



[2]
The following is a PBE calculation of an optimized crystal structure of MgGe, from the Materials Project.

Cell lengths 5.576, 5.576, 4.839 Å; angles 72.77, 72.77, 33.13 degrees
Fractional coordinates of all 4 atoms:
Ge1 0.374 0.374 0.785
Ge2 0.626 0.626 0.215
Mg1 0.119 0.119 0.710
Mg2 0.881 0.881 0.290



Number 1: raw total energy -1.97 eV/atom, formation energy from the elements 129.6 meV/atom, magnetic moment 0.1 μB/f.u.. Number 2: raw total energy -3.17 eV/atom, formation energy from the elements -60.9 meV/atom, magnetic moment 0.0 μB/f.u..